[1]
Entry from the Materials Project database: ReHg2O5 after structural relaxation (r²SCAN).

Lattice parameters (Å, degrees): 7.9509 9.1041 9.0683 114.25 102.06 90.45
Closest atoms and distances in Å follow each position.
Element x y z (fractional)
O1 0.7965 0.9044 0.4149  1 Re 1.75
O2 0.7074 0.5583 0.0562  1 Re 1.74
O3 0.2521 0.0707 0.0195  3 Hg 2.05-2.16
O4 0.9344 0.3149 0.0455  1 Re 1.74
O5 0.0045 0.8355 0.6731  1 Re 1.75
O6 0.2414 0.4084 0.5858  1 Re 1.74
O7 0.9376 0.3074 0.6526  1 Re 1.73
O8 0.7479 0.9293 0.9805  3 Hg 2.05-2.16
O9 0.3660 0.7520 0.2152  1 Re 1.75
O10 0.0624 0.6926 0.3474  1 Re 1.73
O11 0.2035 0.0956 0.5851  1 Re 1.75
O12 0.6340 0.2480 0.7848  1 Re 1.75
O13 0.2926 0.4417 0.9438  1 Re 1.74
O14 0.3985 0.7215 0.8989  1 Re 1.75
O15 0.5345 0.1478 0.3820  3 Hg 2.06-2.17
O16 0.0656 0.6851 0.9545  1 Re 1.74
O17 0.9955 0.1645 0.3269  1 Re 1.75
O18 0.7586 0.5916 0.4142  1 Re 1.74
O19 0.6015 0.2785 0.1011  1 Re 1.75
O20 0.4655 0.8522 0.6180  3 Hg 2.06-2.17
Re1 0.0950 0.2441 0.5396  4 O 1.73-1.75
Re2 0.2798 0.6478 0.0013  4 O 1.74-1.75
Re3 0.9050 0.7559 0.4604  4 O 1.73-1.75
Re4 0.7202 0.3522 0.9987  4 O 1.74-1.75
Hg1 0.5000 0.0000 0.5000  2 O 2.08
Hg2 0.3054 0.3234 0.1917  1 O 2.16
Hg3 0.3430 0.9666 0.8073  2 O 2.05-2.06
Hg4 0.6267 0.3909 0.5722  1 O 2.17
Hg5 0.3733 0.6091 0.4278  1 O 2.17
Hg6 0.0000 0.0000 0.0000  2 O 2.05
Hg7 0.6570 0.0334 0.1927  2 O 2.05-2.06
Hg8 0.6946 0.6766 0.8083  1 O 2.16

Calculated values
The energy of formation is -1.1191 eV/atom.

[2]
Entry from the Materials Project database: Hg2Sb2O7 after structural relaxation (r²SCAN).

Lattice parameters (Å, degrees): 7.3586 7.3586 7.3586 60.00 60.00 60.00
Closest atoms and distances in Å follow each position.
Element x y z (fractional)
Sb1 0.1250 0.1250 0.6250  6 O 1.98
Sb2 0.6250 0.1250 0.1250  6 O 1.98
Sb3 0.1250 0.6250 0.1250  6 O 1.98
Sb4 0.1250 0.1250 0.1250  6 O 1.98
Hg1 0.6250 0.6250 0.1250  2 O 2.25
Hg2 0.6250 0.6250 0.6250  2 O 2.25
Hg3 0.1250 0.6250 0.6250  2 O 2.25
Hg4 0.6250 0.1250 0.6250  2 O 2.25
O1 0.8051 0.1949 0.1949  2 Sb 1.98
O2 0.5000 0.5000 0.5000  4 Hg 2.25
O3 0.4449 0.0551 0.0551  2 Sb 1.98
O4 0.1949 0.1949 0.8051  2 Sb 1.98
O5 0.0551 0.4449 0.0551  2 Sb 1.98
O6 0.4449 0.4449 0.0551  2 Sb 1.98
O7 0.7500 0.7500 0.7500  4 Hg 2.25
O8 0.4449 0.0551 0.4449  2 Sb 1.98
O9 0.1949 0.8051 0.8051  2 Sb 1.98
O10 0.0551 0.4449 0.4449  2 Sb 1.98
O11 0.0551 0.0551 0.4449  2 Sb 1.98
O12 0.8051 0.8051 0.1949  2 Sb 1.98
O13 0.8051 0.1949 0.8051  2 Sb 1.98
O14 0.1949 0.8051 0.1949  2 Sb 1.98

Calculated values
The energy of formation is -1.2059 eV/atom.

[3]
Entry from the Materials Project database: Hg2SeO3 after structural relaxation (r²SCAN).

Lattice parameters (Å, degrees): 8.9184 8.9185 8.9185 127.75 107.22 95.27
Closest atoms and distances in Å follow each position.
Element x y z (fractional)
Se1 0.2346 0.1994 0.0352  3 O 1.69-1.73
Se2 0.7654 0.8006 0.9648  3 O 1.69-1.73
Se3 0.8359 0.3007 0.5352  3 O 1.69-1.73
Se4 0.1641 0.6993 0.4648  3 O 1.69-1.73
Hg1 0.4382 0.3630 0.5877  1 O 2.23
Hg2 0.2247 0.1370 0.5752  1 O 2.23
Hg3 0.7753 0.3505 0.9123  1 O 2.23
Hg4 0.2247 0.6495 0.0877  1 O 2.23
Hg5 0.5618 0.1495 0.9248  1 O 2.23
Hg6 0.7753 0.8630 0.4248  1 O 2.23
Hg7 0.5618 0.6370 0.4123  1 O 2.23
Hg8 0.4382 0.8505 0.0752  1 O 2.23
O1 0.6469 0.9537 0.0332  1 Se 1.73
O2 0.9205 0.4537 0.8068  1 Se 1.73
O3 0.3617 0.8247 0.5370  1 Se 1.69
O4 0.0795 0.5463 0.1932  1 Se 1.73
O5 0.2877 0.3247 0.9630  1 Se 1.69
O6 0.0795 0.8863 0.5332  1 Se 1.73
O7 0.7123 0.6753 0.0370  1 Se 1.69
O8 0.3531 0.3863 0.3068  1 Se 1.73
O9 0.3531 0.0463 0.9668  1 Se 1.73
O10 0.6469 0.6137 0.6932  1 Se 1.73
O11 0.6383 0.1753 0.4630  1 Se 1.69
O12 0.9205 0.1137 0.4668  1 Se 1.73

Calculated values
The energy of formation is -0.6229 eV/atom.

[4]
Entry from the Materials Project database: Hg2SeO5 after structural relaxation (r²SCAN).

Lattice parameters (Å, degrees): 7.1848 9.7054 14.9330 70.39 90.00 90.00
Closest atoms and distances in Å follow each position.
Element x y z (fractional)
O1 0.9097 0.2092 0.5418  1 Se 1.70
O2 0.3725 0.7554 0.6670  3 Hg 2.06-2.18
O3 0.3707 0.4428 0.8482  3 Hg 2.07-2.12
O4 0.2615 0.9406 0.7916  1 Se 1.65
O5 0.4097 0.7908 0.9582  1 Se 1.70
O6 0.9697 0.0682 0.3731  1 Se 1.64
O7 0.4574 0.6296 0.3286  1 Se 1.65
O8 0.1293 0.4428 0.3482  3 Hg 2.07-2.12
O9 0.2743 0.4992 0.5453  1 Se 1.65
O10 0.6275 0.2446 0.3330  3 Hg 2.06-2.18
O11 0.2257 0.4992 0.0453  1 Se 1.65
O12 0.0303 0.9318 0.6269  1 Se 1.64
O13 0.1009 0.2293 0.0571  1 Se 1.69
O14 0.1837 0.0260 0.9426  1 Se 1.66
O15 0.7743 0.5008 0.9547  1 Se 1.65
O16 0.8707 0.5572 0.6518  3 Hg 2.07-2.12
O17 0.0426 0.6296 0.8286  1 Se 1.65
O18 0.7615 0.0594 0.7084  1 Se 1.65
O19 0.1879 0.2662 0.6987  1 Se 1.65
O20 0.0903 0.7908 0.4582  1 Se 1.70
O21 0.8121 0.7338 0.3013  1 Se 1.65
O22 0.5903 0.2092 0.0418  1 Se 1.70
O23 0.5426 0.3704 0.6714  1 Se 1.65
O24 0.6879 0.7338 0.8013  1 Se 1.65
O25 0.7385 0.0594 0.2084  1 Se 1.65
O26 0.3121 0.2662 0.1987  1 Se 1.65
O27 0.1275 0.7554 0.1670  3 Hg 2.06-2.18
O28 0.8991 0.7707 0.9429  1 Se 1.69
O29 0.8725 0.2446 0.8330  3 Hg 2.06-2.18
O30 0.2385 0.9406 0.2916  1 Se 1.65
O31 0.3163 0.0260 0.4426  1 Se 1.66
O32 0.5303 0.0682 0.8731  1 Se 1.64
O33 0.9574 0.3704 0.1714  1 Se 1.65
O34 0.6009 0.7707 0.4429  1 Se 1.69
O35 0.6837 0.9740 0.5574  1 Se 1.66
O36 0.3991 0.2293 0.5571  1 Se 1.69
O37 0.8163 0.9740 0.0574  1 Se 1.66
O38 0.4697 0.9318 0.1269  1 Se 1.64
O39 0.6293 0.5572 0.1518  3 Hg 2.07-2.12
O40 0.7257 0.5008 0.4547  1 Se 1.65
Se1 0.3504 0.3418 0.6191  4 O 1.65-1.69
Se2 0.3468 0.9618 0.8884  4 O 1.64-1.70
Se3 0.6532 0.0382 0.1116  4 O 1.64-1.70
Se4 0.1496 0.3418 0.1191  4 O 1.65-1.69
Se5 0.8468 0.0382 0.6116  4 O 1.64-1.70
Se6 0.6496 0.6582 0.3809  4 O 1.65-1.69
Se7 0.1532 0.9618 0.3884  4 O 1.64-1.70
Se8 0.8504 0.6582 0.8809  4 O 1.65-1.69
Hg1 0.8805 0.6646 0.1441  2 O 2.06-2.07
Hg2 0.3698 0.6378 0.8824  2 O 2.12-2.17
Hg3 0.6214 0.3355 0.8524  2 O 2.07
Hg4 0.3786 0.6645 0.1476  2 O 2.07
Hg5 0.8651 0.0070 0.8755  2 O 2.18-2.19
Hg6 0.6349 0.0070 0.3755  2 O 2.18-2.19
Hg7 0.3805 0.3354 0.3559  2 O 2.06-2.07
Hg8 0.3651 0.9930 0.6245  2 O 2.18-2.19
Hg9 0.1214 0.6645 0.6476  2 O 2.07
Hg10 0.6195 0.6646 0.6441  2 O 2.06-2.07
Hg11 0.1195 0.3354 0.8559  2 O 2.06-2.07
Hg12 0.8698 0.3622 0.6176  2 O 2.12-2.17
Hg13 0.1302 0.6378 0.3824  2 O 2.12-2.17
Hg14 0.6302 0.3622 0.1176  2 O 2.12-2.17
Hg15 0.8786 0.3355 0.3524  2 O 2.07
Hg16 0.1349 0.9930 0.1245  2 O 2.18-2.19

Calculated values
The energy of formation is -0.5618 eV/atom.

[5]
Entry from the Materials Project database: SrHgO2 after structural relaxation (r²SCAN).

Lattice parameters (Å, degrees): 6.7512 6.7512 6.7512 33.12 33.12 33.12
Closest atoms and distances in Å follow each position.
Element x y z (fractional)
O1 0.8963 0.8963 0.8963  1 Hg 1.98
O2 0.1037 0.1037 0.1037  1 Hg 1.98
Hg1 0.0000 0.0000 0.0000  2 O 1.98
Sr1 0.5000 0.5000 0.5000  6 O 2.53

Calculated values
The energy of formation is -1.8189 eV/atom.

[6]
Entry from the Materials Project database: SrHgO2 after structural relaxation (r²SCAN).

Lattice parameters (Å, degrees): 3.8440 3.8440 19.1434 90.00 90.00 120.00
Closest atoms and distances in Å follow each position.
Element x y z (fractional)
Sr1 0.6711 0.6711 0.5000  6 O 2.53
Sr2 0.3289 0.0000 0.1667  6 O 2.53
Sr3 0.0000 0.3289 0.8333  6 O 2.53
O1 0.3334 0.9954 0.7702  1 Hg 1.98
O2 0.6620 0.6666 0.1036  1 Hg 1.98
O3 0.6666 0.6620 0.8964  1 Hg 1.98
O4 0.9954 0.3334 0.2298  1 Hg 1.98
O5 0.0046 0.3380 0.4369  1 Hg 1.98
O6 0.3380 0.0046 0.5631  1 Hg 1.98
Hg1 0.0000 0.3358 0.3333  2 O 1.98
Hg2 0.3358 0.0000 0.6667  2 O 1.98
Hg3 0.6642 0.6642 0.0000  2 O 1.98

Calculated values
The energy of formation is -1.8189 eV/atom.

[7]
Entry from the Materials Project database: HgTeO3 after structural relaxation (r²SCAN).

Lattice parameters (Å, degrees): 6.1979 7.4151 7.5221 93.15 113.76 92.41
Closest atoms and distances in Å follow each position.
Element x y z (fractional)
Hg1 0.4358 0.0596 0.2314  2 O 2.10-2.12
Hg2 0.9537 0.2798 0.1539  3 O 2.19-2.44
Hg3 0.0463 0.7202 0.8461  3 O 2.19-2.44
Hg4 0.5642 0.9404 0.7686  2 O 2.10-2.12
O1 0.3586 0.6963 0.7195  1 Te 1.92, 1 Hg 2.10
O2 0.2005 0.0131 0.8628  1 Te 1.88
O3 0.7987 0.9563 0.5184  1 Te 1.88
O4 0.2013 0.0437 0.4816  1 Te 1.88
O5 0.2217 0.8183 0.1955  1 Te 1.97, 1 Hg 2.12
O6 0.6414 0.3037 0.2805  1 Te 1.92, 1 Hg 2.10
O7 0.2709 0.4416 0.3565  1 Te 1.89
O8 0.7995 0.9869 0.1372  1 Te 1.88
O9 0.7450 0.5440 0.0122  1 Te 1.88
O10 0.7291 0.5584 0.6435  1 Te 1.89
O11 0.2550 0.4560 0.9878  1 Te 1.88
O12 0.7783 0.1817 0.8045  1 Te 1.97, 1 Hg 2.12
Te1 0.4761 0.5220 0.2432  3 O 1.88-1.92
Te2 0.0039 0.8449 0.3253  3 O 1.88-1.97
Te3 0.5239 0.4780 0.7568  3 O 1.88-1.92
Te4 0.9961 0.1551 0.6747  3 O 1.88-1.97

Calculated values
The energy of formation is -0.8395 eV/atom.

[8]
Entry from the Materials Project database: Hg2WO4 after structural relaxation (r²SCAN).

Lattice parameters (Å, degrees): 4.9482 7.2854 7.2854 105.81 104.49 104.49
Closest atoms and distances in Å follow each position.
Element x y z (fractional)
Hg1 0.9794 0.5298 0.7518  1 O 2.20
Hg2 0.5206 0.2482 0.4702  1 O 2.20
Hg3 0.0206 0.4702 0.2482  1 O 2.20
Hg4 0.4794 0.7518 0.5298  1 O 2.20
W1 0.2500 0.0978 0.9022  4 O 1.77-1.92
W2 0.7500 0.9022 0.0978  4 O 1.77-1.92
O1 0.1495 0.0836 0.1810  1 W 1.92
O2 0.8505 0.9164 0.8190  1 W 1.92
O3 0.7978 0.6627 0.0496  1 W 1.77
O4 0.3505 0.8190 0.9164  1 W 1.92
O5 0.2022 0.3373 0.9504  1 W 1.77
O6 0.7022 0.9504 0.3373  1 W 1.77
O7 0.6495 0.1810 0.0836  1 W 1.92
O8 0.2978 0.0496 0.6627  1 W 1.77

Calculated values
The energy of formation is -1.4618 eV/atom.

[9]
Entry from the Materials Project database: Tm2HgOs after structural relaxation (r²SCAN).

Lattice parameters (Å, degrees): 4.9178 4.9178 4.9178 60.00 60.00 60.00
Closest atoms and distances in Å follow each position.
Element x y z (fractional)
Hg1 0.2500 0.2500 0.2500  8 Tm 3.01
Tm1 0.5000 0.5000 0.5000  4 Hg 3.01, 4 Os 3.01
Tm2 0.0000 0.0000 0.0000  4 Hg 3.01, 4 Os 3.01
Os1 0.7500 0.7500 0.7500  8 Tm 3.01

Calculated values
The energy of formation is -0.4111 eV/atom.